# PCF3

Crystalline PCF3 at its relaxed geometry (PBE, Materials Project).

Cell and atoms, written as extended XYZ:
```
40
Lattice="-0.714 -9.438 -6.320 11.011 0.980 -2.707 1.556 -3.504 5.058" Properties=species:S:1:pos:R:3 pbc="T T T"
C 5.438 -7.715 -4.597
C 3.407 -6.920 -0.298
C 0.122 -3.108 -0.629
C 9.437 -2.088 2.053
C -0.225 -7.704 -3.707
C 5.804 -2.873 -1.355
C 4.075 -2.566 3.372
C 9.056 -6.417 -1.687
F 7.136 -9.184 -3.254
F 8.501 -7.056 -0.669
F 4.466 -7.416 0.323
F 7.452 -8.330 -6.742
F 3.362 -1.291 -0.606
F 5.233 -3.941 0.964
F -0.026 -8.964 -3.350
F 0.426 -2.984 0.654
F 8.772 -6.109 -4.270
F 2.249 -5.544 2.110
F 5.500 -2.997 -2.638
F 3.016 -2.070 2.750
F 4.821 -9.390 -2.685
F 8.016 -0.876 -1.751
F 5.239 -6.456 -4.954
F 2.798 -8.745 -5.598
F 2.565 -4.691 -1.378
F 7.548 -3.735 0.394
F 9.992 -1.448 1.035
F 2.415 -6.675 -2.707
F 1.947 -9.533 -0.561
F 8.922 -4.125 -2.941
F 10.643 -8.759 -2.700
F 10.945 -4.770 -0.029
P 0.874 -10.707 -0.323
P 5.895 -8.216 -2.924
P 8.828 0.512 -1.761
P 1.289 -5.212 3.357
P 6.193 -4.273 -0.284
P 8.109 -5.512 -2.931
P 3.509 -5.922 -1.800
P 2.417 -0.059 -0.185
```

Crystal system = tetragonal
Energy = -4.74 eV per atom
Energy relative to the elements = -4.71 eV/f.u.
ΔE to the lowest computed polymorph = 563 meV per atom
Symmetry = P4_2/nmc, No. 137